## LiMnPO4 (GGA+U)

Data for an optimized crystal structure of LiMnPO4.

Output
Its space group is Pnma. The energy relative to the lowest polymorph listed for this composition comes out at 0.144 eV per formula unit. The crystal system is orthorhombic.

a = 6.325 Å, b = 5.631 Å, c = 8.499 Å
α = 90.00°, β = 90.00°, γ = 90.00°
Fractional coordinates of all 28 atoms:
Li1 0.247 0.250 0.086
Li2 0.253 0.750 0.586
Li3 0.747 0.250 0.414
Li4 0.753 0.750 0.914
Mn1 0.002 0.250 0.750
Mn2 0.498 0.750 0.250
Mn3 0.502 0.250 0.750
Mn4 0.998 0.750 0.250
P1 0.247 0.250 0.397
P2 0.253 0.750 0.897
P3 0.747 0.250 0.103
P4 0.753 0.750 0.603
O1 0.046 0.250 0.498
O2 0.052 0.750 0.999
O3 0.248 0.028 0.283
O4 0.248 0.472 0.283
O5 0.252 0.528 0.783
O6 0.252 0.972 0.783
O7 0.448 0.250 0.499
O8 0.454 0.750 0.998
O9 0.546 0.250 0.002
O10 0.552 0.750 0.501
O11 0.748 0.028 0.217
O12 0.748 0.472 0.217
O13 0.752 0.528 0.717
O14 0.752 0.972 0.717
O15 0.948 0.250 0.001
O16 0.954 0.750 0.502